No. 1
Density functional theory data (PBE with a Hubbard U) for crystalline Li4Co3O7 at its relaxed geometry.

a b c (Å): 2.9454 5.9050 14.5498
angles (deg): 96.09 95.67 91.44
Positions (direct):
1 Li 0.9295 0.2097 0.8616
2 Li 0.5000 0.5000 0.0000
3 Li 0.0705 0.7903 0.1384
4 Li 0.3562 0.9279 0.7158
5 Li 0.7856 0.6423 0.5707
6 Li 0.2144 0.3577 0.4293
7 Li 0.6438 0.0721 0.2842
8 Li 0.5000 0.0000 0.0000
9 Co 0.9342 0.7246 0.8655
10 Co 0.0658 0.2754 0.1345
11 Co 0.6430 0.5702 0.2828
12 Co 0.2137 0.8549 0.4282
13 Co 0.7863 0.1451 0.5718
14 Co 0.3570 0.4298 0.7172
15 O 0.4682 0.4806 0.8554
16 O 0.9947 0.7452 0.9864
17 O 0.6053 0.0554 0.1435
18 O 0.8538 0.1964 0.7116
19 O 0.2799 0.9070 0.5686
20 O 0.7066 0.6188 0.4249
21 O 0.1305 0.3354 0.2751
22 O 0.3947 0.9446 0.8565
23 O 0.0053 0.2548 0.0136
24 O 0.5318 0.5194 0.1446
25 O 0.8695 0.6646 0.7249
26 O 0.2934 0.3812 0.5751
27 O 0.7201 0.0930 0.4314
28 O 0.1462 0.8036 0.2884

* MP2020-corrected energy: -6.210 eV/atom
* relative energy among the computed polymorphs: 44 meV/atom
* crystal system: triclinic
* calculated volume: 8.94 Å³/atom
* ΔH_f (0 K): -1.667 eV per atom
* symmetry: No. 2
* mass density: 4.2 g cm⁻³
* final energy: -5.52 eV/atom


No. 2
Density functional theory data (PBE with a Hubbard U) for crystalline Li4Fe3Sn2Sb3O16 at its relaxed geometry.

a b c (Å): 6.2465 6.2465 9.9356
angles (deg): 89.32 89.32 59.92
Positions (direct):
1 Li 0.6625 0.6625 0.1128
2 Li 0.9875 0.9875 0.0163
3 Li 0.9942 0.9942 0.4993
4 Li 0.3263 0.3263 0.5944
5 Fe 0.8305 0.8305 0.7857
6 Fe 0.1754 0.6636 0.2876
7 Fe 0.6636 0.1754 0.2876
8 Sn 0.6783 0.6783 0.4982
9 Sn 0.3432 0.3432 0.0208
10 Sb 0.3377 0.8317 0.7847
11 Sb 0.8317 0.3377 0.7847
12 Sb 0.1735 0.1735 0.2856
13 O 0.3297 0.8510 0.4067
14 O 0.5165 0.5165 0.6614
15 O 0.6628 0.6628 0.8932
16 O 0.0011 0.0011 0.6866
17 O 0.0130 0.0130 0.1958
18 O 0.8510 0.3297 0.4067
19 O 0.5136 0.9585 0.6615
20 O 0.9585 0.5136 0.6615
21 O 0.1613 0.1613 0.8963
22 O 0.8422 0.8422 0.4042
23 O 0.0324 0.4698 0.1548
24 O 0.4698 0.0324 0.1548
25 O 0.3220 0.3220 0.3971
26 O 0.1657 0.6795 0.8989
27 O 0.4835 0.4835 0.1558
28 O 0.6795 0.1657 0.8989

* MP2020-corrected energy: -6.687 eV/atom
* crystal system: monoclinic
* calculated volume: 11.98 Å³/atom
* ΔH_f (0 K): -1.951 eV per atom
* symmetry: No. 8
* mass density: 5.2 g cm⁻³
* final energy: -6.05 eV/atom


No. 3
Density functional theory data (PBE with a Hubbard U) for crystalline Li5Fe2P2C2O14 at its relaxed geometry.

a b c (Å): 6.4711 8.4252 10.1589
angles (deg): 84.47 90.00 90.00
Positions (direct):
1 Li 0.0069 0.8971 0.6096
2 Li 0.9931 0.8971 0.1096
3 Li 0.1872 0.7118 0.8817
4 Li 0.8128 0.7118 0.3817
5 Li 0.7535 0.2609 0.6287
6 Li 0.2504 0.2658 0.6316
7 Li 0.7496 0.2658 0.1316
8 Li 0.2465 0.2609 0.1287
9 Li 0.4986 0.0989 0.8816
10 Li 0.5014 0.0989 0.3816
11 Fe 0.5004 0.6717 0.6022
12 Fe 0.4996 0.6717 0.1022
13 Fe 0.9932 0.3321 0.8943
14 Fe 0.0068 0.3321 0.3943
15 P 0.0057 0.5852 0.6416
16 P 0.9943 0.5852 0.1416
17 P 0.4903 0.4184 0.8679
18 P 0.5097 0.4184 0.3679
19 C 0.5004 0.9636 0.6481
20 C 0.4996 0.9636 0.1481
21 C 0.0082 0.0386 0.8416
22 C 0.9918 0.0386 0.3416
23 O 0.5093 0.9296 0.5259
24 O 0.0426 0.9010 0.8058
25 O 0.4907 0.9296 0.0259
26 O 0.4933 0.8428 0.7371
27 O 0.9574 0.9010 0.3058
28 O 0.5067 0.8428 0.2371
29 O 0.1958 0.6878 0.5918
30 O 0.8178 0.6934 0.5926
31 O 0.1822 0.6934 0.0926
32 O 0.8042 0.6878 0.0918
33 O 0.4627 0.5768 0.9301
34 O 0.0152 0.5588 0.7934
35 O 0.5373 0.5768 0.4301
36 O 0.9848 0.5588 0.2934
37 O 0.5014 0.4561 0.7135
38 O 0.9964 0.4233 0.5826
39 O 0.4986 0.4561 0.2135
40 O 0.0036 0.4233 0.0826
41 O 0.6802 0.3190 0.9197
42 O 0.3107 0.2994 0.9054
43 O 0.6893 0.2994 0.4054
44 O 0.3198 0.3190 0.4197
45 O 0.9874 0.1614 0.7504
46 O 0.4993 0.1091 0.6805
47 O 0.0126 0.1614 0.2504
48 O 0.9955 0.0685 0.9650
49 O 0.5007 0.1091 0.1805
50 O 0.0045 0.0685 0.4650

* MP2020-corrected energy: -7.307 eV/atom
* relative energy among the computed polymorphs: 10 meV/atom
* crystal system: monoclinic
* calculated volume: 11.03 Å³/atom
* ΔH_f (0 K): -2.305 eV per atom
* symmetry: No. 7
* mass density: 2.7 g cm⁻³
* final energy: -6.74 eV/atom


No. 4
Density functional theory data (PBE with a Hubbard U) for crystalline LiMn2O3F at its relaxed geometry.

a b c (Å): 5.8418 6.1368 8.7742
angles (deg): 90.00 90.00 89.61
Positions (direct):
1 Li 0.9701 0.9996 0.0212
2 Li 0.4701 0.9996 0.2288
3 Li 0.5299 0.5004 0.5212
4 Li 0.0299 0.5004 0.7288
5 Mn 0.7474 0.0004 0.6353
6 Mn 0.2526 0.4996 0.1148
7 Mn 0.0000 0.2500 0.3750
8 Mn 0.0000 0.7500 0.3750
9 Mn 0.7526 0.4996 0.1352
10 Mn 0.2474 0.0004 0.6148
11 Mn 0.5000 0.2500 0.8750
12 Mn 0.5000 0.7500 0.8750
13 O 0.7990 0.5015 0.3821
14 O 0.2010 0.9985 0.3679
15 O 0.2990 0.5015 0.8679
16 O 0.7010 0.9985 0.8821
17 O 0.5066 0.2855 0.1012
18 O 0.0042 0.7138 0.1487
19 O 0.5042 0.7138 0.1013
20 O 0.9934 0.2145 0.6012
21 O 0.0066 0.2855 0.1488
22 O 0.4934 0.2145 0.6488
23 O 0.4958 0.7862 0.6487
24 O 0.9958 0.7862 0.6013
25 F 0.7209 0.0028 0.3710
26 F 0.2791 0.4973 0.3790
27 F 0.2209 0.0027 0.8790
28 F 0.7791 0.4972 0.8710

* MP2020-corrected energy: -7.602 eV/atom
* relative energy among the computed polymorphs: 0 meV/atom
* crystal system: monoclinic
* calculated volume: 11.23 Å³/atom
* ΔH_f (0 K): -2.318 eV per atom
* symmetry: No. 14
* mass density: 3.9 g cm⁻³
* final energy: -6.77 eV/atom


No. 5
Density functional theory data (PBE with a Hubbard U) for crystalline LiFeNiO4 at its relaxed geometry.

a b c (Å): 5.9222 5.9222 5.9222
angles (deg): 120.81 120.69 88.71
Positions (direct):
1 Li 0.5000 0.5000 0.5000
2 Li 0.5000 0.0000 0.0000
3 Fe 0.5000 0.0000 0.5000
4 Fe 0.0000 0.0000 0.0000
5 Ni 0.0000 0.5000 0.0000
6 Ni 0.0000 0.0000 0.5000
7 O 0.7336 0.2232 0.5104
8 O 0.7496 0.7810 0.5314
9 O 0.2127 0.2232 0.9896
10 O 0.2504 0.7818 0.0314
11 O 0.7496 0.2182 0.9686
12 O 0.7873 0.7768 0.0104
13 O 0.2504 0.2190 0.4686
14 O 0.2664 0.7768 0.4896

* MP2020-corrected energy: -6.526 eV/atom
* relative energy among the computed polymorphs: 46 meV/atom
* crystal system: orthorhombic
* calculated volume: 10.37 Å³/atom
* ΔH_f (0 K): -1.390 eV per atom
* symmetry: No. 74
* mass density: 4.2 g cm⁻³
* final energy: -5.45 eV/atom


No. 6
Density functional theory data (PBE with a Hubbard U) for crystalline Na9Fe3P8O29 at its relaxed geometry.

a b c (Å): 10.1818 10.1818 14.7159
angles (deg): 90.00 90.00 120.00
Positions (direct):
1 Na 0.3515 0.2477 0.0580
2 Na 0.3515 0.1039 0.5580
3 Na 0.7523 0.6485 0.5580
4 Na 0.0000 0.0000 0.0000
5 Na 0.0000 0.0000 0.5000
6 Na 0.6667 0.3333 0.8751
7 Na 0.6667 0.3333 0.3751
8 Na 0.8961 0.6485 0.0580
9 Na 0.7523 0.1039 0.0580
10 Na 0.1039 0.7523 0.4420
11 Na 0.8961 0.2477 0.5580
12 Na 0.2477 0.8961 0.9420
13 Na 0.1039 0.3515 0.9420
14 Na 0.3333 0.6667 0.6249
15 Na 0.3333 0.6667 0.1249
16 Na 0.2477 0.3515 0.4420
17 Na 0.6485 0.8961 0.4420
18 Na 0.6485 0.7523 0.9420
19 Fe 0.4372 0.4372 0.2500
20 Fe 0.5628 0.5628 0.7500
21 Fe 0.0000 0.5628 0.2500
22 Fe 0.0000 0.4372 0.7500
23 Fe 0.4372 0.0000 0.7500
24 Fe 0.5628 0.0000 0.2500
25 P 0.3172 0.2268 0.8373
26 P 0.3172 0.0904 0.3373
27 P 0.7732 0.6828 0.3373
28 P 0.6667 0.3333 0.1362
29 P 0.6667 0.3333 0.6362
30 P 0.9096 0.6828 0.8373
31 P 0.0904 0.7732 0.6627
32 P 0.7732 0.0904 0.8373
33 P 0.2268 0.9096 0.1627
34 P 0.9096 0.2268 0.3373
35 P 0.0904 0.3172 0.1627
36 P 0.3333 0.6667 0.8638
37 P 0.3333 0.6667 0.3638
38 P 0.2268 0.3172 0.6627
39 P 0.6828 0.9096 0.6627
40 P 0.6828 0.7732 0.1627
41 O 0.2150 0.2150 0.7500
42 O 0.2182 0.2278 0.5781
43 O 0.3425 0.2529 0.3344
44 O 0.2182 0.9904 0.0781
45 O 0.3425 0.0896 0.8344
46 O 0.4702 0.3757 0.8302
47 O 0.5236 0.3354 0.1725
48 O 0.6243 0.5298 0.3302
49 O 0.7722 0.7818 0.0781
50 O 0.7850 0.7850 0.2500
51 O 0.7471 0.6575 0.8344
52 O 0.5236 0.1882 0.6725
53 O 0.4702 0.0945 0.3302
54 O 0.6646 0.4764 0.6725
55 O 0.6667 0.3333 0.5319
56 O 0.6667 0.3333 0.0319
57 O 0.8118 0.4764 0.1725
58 O 0.6243 0.0945 0.8302
59 O 0.6646 0.1882 0.1725
60 O 0.9104 0.6575 0.3344
61 O 0.0000 0.7850 0.7500
62 O 0.0096 0.7818 0.5781
63 O 0.9904 0.7722 0.9219
64 O 0.9055 0.5298 0.8302
65 O 0.8118 0.3354 0.6725
66 O 0.0896 0.7471 0.1656
67 O 0.9055 0.3757 0.3302
68 O 0.7471 0.0896 0.3344
69 O 0.2150 0.0000 0.2500
70 O 0.2278 0.0096 0.4219
71 O 0.7722 0.9904 0.5781
72 O 0.2529 0.9104 0.6656
73 O 0.0945 0.6243 0.6698
74 O 0.9104 0.2529 0.8344
75 O 0.1882 0.6646 0.3275
76 O 0.0945 0.4702 0.1698
77 O 0.0096 0.2278 0.0781
78 O 0.9904 0.2182 0.4219
79 O 0.0000 0.2150 0.2500
80 O 0.0896 0.3425 0.6656
81 O 0.3354 0.8118 0.8275
82 O 0.3757 0.9055 0.1698
83 O 0.1882 0.5236 0.8275
84 O 0.3333 0.6667 0.9681
85 O 0.3333 0.6667 0.4681
86 O 0.3354 0.5236 0.3275
87 O 0.5298 0.9055 0.6698
88 O 0.4764 0.8118 0.3275
89 O 0.2529 0.3425 0.1656
90 O 0.2278 0.2182 0.9219
91 O 0.3757 0.4702 0.6698
92 O 0.4764 0.6646 0.8275
93 O 0.5298 0.6243 0.1698
94 O 0.6575 0.9104 0.1656
95 O 0.7818 0.0096 0.9219
96 O 0.7850 0.0000 0.7500
97 O 0.6575 0.7471 0.6656
98 O 0.7818 0.7722 0.4219

* MP2020-corrected energy: -7.109 eV/atom
* crystal system: trigonal
* calculated volume: 13.48 Å³/atom
* ΔH_f (0 K): -2.535 eV per atom
* symmetry: No. 165
* mass density: 2.7 g cm⁻³
* final energy: -6.56 eV/atom


No. 7
Density functional theory data (PBE with a Hubbard U) for crystalline Mn2OF3 at its relaxed geometry.

a b c (Å): 4.8869 4.8869 9.4930
angles (deg): 90.00 90.00 92.65
Positions (direct):
1 Mn 0.9575 0.9575 0.0000
2 Mn 0.0289 0.0289 0.3330
3 Mn 0.0289 0.0289 0.6670
4 Mn 0.4921 0.4921 0.8329
5 Mn 0.4921 0.4921 0.1671
6 Mn 0.4990 0.4990 0.5000
7 O 0.3248 0.3248 0.3339
8 O 0.3248 0.3248 0.6661
9 O 0.6603 0.6603 0.0000
10 F 0.7886 0.1953 0.1676
11 F 0.8213 0.2120 0.5000
12 F 0.7886 0.1953 0.8324
13 F 0.2750 0.2750 0.0000
14 F 0.7077 0.7077 0.3399
15 F 0.7077 0.7077 0.6601
16 F 0.1953 0.7886 0.1676
17 F 0.2120 0.8213 0.5000
18 F 0.1953 0.7886 0.8324

* MP2020-corrected energy: -7.463 eV/atom
* relative energy among the computed polymorphs: 12 meV/atom
* crystal system: orthorhombic
* calculated volume: 12.58 Å³/atom
* piezoelectric modulus e_max: 0.7 C/m2
* ΔH_f (0 K): -2.627 eV per atom
* symmetry: No. 38
* mass density: 4.0 g cm⁻³
* final energy: -6.56 eV/atom


No. 8
Density functional theory data (PBE with a Hubbard U) for crystalline Ba2Ca2Tl2W3O10 at its relaxed geometry.

a b c (Å): 4.0386 4.1809 19.8946
angles (deg): 95.66 94.95 90.15
Positions (direct):
1 Ba 0.8568 0.7725 0.6820
2 Ba 0.1474 0.0784 0.3206
3 Ca 0.0407 0.9784 0.0955
4 Ca 0.9645 0.8928 0.9052
5 Tl 0.2750 0.2405 0.5558
6 Tl 0.7201 0.6880 0.4459
7 W 0.5763 0.5156 0.1782
8 W 0.4304 0.3506 0.8228
9 W 0.5031 0.4342 0.0000
10 O 0.0667 0.5056 0.1558
11 O 0.6172 0.5469 0.2763
12 O 0.5678 0.0060 0.1607
13 O 0.2229 0.2896 0.4370
14 O 0.5033 0.9342 0.0000
15 O 0.4374 0.8571 0.8397
16 O 0.3917 0.2828 0.7246
17 O 0.9388 0.3633 0.8445
18 O 0.7637 0.8405 0.5644
19 O 0.0032 0.4331 0.0001

* MP2020-corrected energy: -7.312 eV/atom
* crystal system: triclinic
* calculated volume: 17.53 Å³/atom
* ΔH_f (0 K): -2.000 eV per atom
* symmetry: No. 1
* mass density: 7.4 g cm⁻³
* final energy: -6.25 eV/atom